1.
Ba2ZnCuBi2F14: relaxed, PBE.

Values from the calculation:
- ΔH_f (0 K): -3.0073 eV per atom

Unit cell a=14.5815 b=5.3706 c=16.1834 alpha=90.00 beta=90.06 gamma=90.00
Space group C2/c (No. 15)
Unique sites:
Ba1 0.1811 0.0977 0.1261 x8
Zn1 0.0000 0.4384 0.7500 x4
Cu1 0.0000 0.5000 0.0000 x4
Bi1 0.1083 0.0510 0.3771 x8
F1 0.0216 0.1577 0.6728 x8
F2 0.0243 0.3659 0.1068 x8
F3 0.0766 0.2039 0.5142 x8
F4 0.1050 0.3327 0.2625 x8
F5 0.1467 0.2797 0.9539 x8
F6 0.1792 0.1722 0.7806 x8
F7 0.2464 0.3535 0.5983 x8

2.
BaYCuBiO5: relaxed, PBE.

Values from the calculation:
- ΔH_f (0 K): -2.3732 eV per atom

Unit cell a=3.9396 b=3.9396 c=9.2162 alpha=90.00 beta=90.00 gamma=90.00
Space group P4mm (No. 99)
Unique sites:
Ba1 0.0000 0.0000 0.0000 x1
Y1 0.0000 0.0000 0.3943 x1
Cu1 0.5000 0.5000 0.2094 x1
Bi1 0.5000 0.5000 0.6607 x1
O1 0.0000 0.5000 0.2296 x2
O2 0.0000 0.5000 0.5378 x2
O3 0.5000 0.5000 0.9217 x1

3.
KBa2DyBi2O9: relaxed, PBE.

Values from the calculation:
- ΔH_f (0 K): -1.5815 eV per atom

Unit cell a=6.8039 b=6.8039 c=15.8734 alpha=90.00 beta=90.00 gamma=120.00
Space group P-3m1 (No. 164)
Unique sites:
K1 0.3333 0.6667 0.1574 x2
Ba1 0.0000 0.0000 0.2801 x2
Ba2 0.3333 0.6667 0.6391 x2
Dy1 0.3333 0.6667 0.4099 x2
Bi1 0.0000 0.0000 0.0000 x1
Bi2 0.0000 0.0000 0.5000 x1
Bi3 0.3333 0.6667 0.9417 x2
O1 0.0000 0.5000 0.0000 x3
O2 0.0000 0.5000 0.5000 x3
O3 0.1358 0.2717 0.5850 x6
O4 0.2176 0.4352 0.2960 x6

4.
Ba2DyBiO6: relaxed, PBE.

Values from the calculation:
- ΔH_f (0 K): -2.8263 eV per atom

Unit cell a=8.7143 b=8.7143 c=8.7143 alpha=90.00 beta=90.00 gamma=90.00
Space group Fm-3m (No. 225)
Unique sites:
Ba1 0.2500 0.2500 0.2500 x8
Dy1 0.0000 0.0000 0.0000 x4
Bi1 0.0000 0.0000 0.5000 x4
O1 0.0000 0.0000 0.2556 x24

5.
Ba2DyBiO6: relaxed, PBE.

Values from the calculation:
- ΔH_f (0 K): -2.8290 eV per atom

Unit cell a=8.7053 b=8.7053 c=8.7053 alpha=90.00 beta=90.00 gamma=90.00
Space group Pn-3 (No. 201, origin choice 2)
Unique sites:
Ba1 0.2500 0.2500 0.2500 x2
Ba2 0.2500 0.2500 0.7500 x6
Dy1 0.0000 0.0000 0.0000 x4
Bi1 0.0000 0.0000 0.5000 x4
O1 0.0169 0.5192 0.7559 x24

6.
BaSrDyBiO6: relaxed, PBE.

Values from the calculation:
- Energy relative to the lowest polymorph listed for this composition: 0.0 meV/atom
- ΔH_f (0 K): -2.8275 eV per atom

Unit cell a=8.6063 b=8.6136 c=8.6144 alpha=90.00 beta=90.00 gamma=90.00
Space group P222 (No. 16)
Unique sites:
Ba1 0.0000 0.0000 0.0000 x1
Ba2 0.0000 0.0000 0.5000 x1
Ba3 0.5000 0.0000 0.0000 x1
Ba4 0.5000 0.5000 0.5000 x1
Sr1 0.0000 0.5000 0.0000 x1
Sr2 0.0000 0.5000 0.5000 x1
Sr3 0.5000 0.0000 0.5000 x1
Sr4 0.5000 0.5000 0.0000 x1
Dy1 0.2500 0.2526 0.2505 x4
Bi1 0.2500 0.2531 0.7494 x4
O1 0.0055 0.2242 0.7233 x4
O2 0.2146 0.2859 0.9937 x4
O3 0.2150 0.4946 0.7082 x4
O4 0.2742 0.0067 0.7778 x4
O5 0.2909 0.2172 0.5064 x4
O6 0.4935 0.2905 0.7863 x4

7.
BaSrDyBiO6: relaxed, PBE.

Values from the calculation:
- Energy relative to the lowest polymorph listed for this composition: 36.8 meV/atom
- ΔH_f (0 K): -2.7907 eV per atom

Unit cell a=8.6539 b=8.6539 c=8.6539 alpha=90.00 beta=90.00 gamma=90.00
Space group F-43m (No. 216)
Unique sites:
Ba1 0.0000 0.0000 0.0000 x4
Sr1 0.0000 0.0000 0.5000 x4
Dy1 0.2500 0.2500 0.2500 x4
Bi1 0.2500 0.2500 0.7500 x4
O1 0.0055 0.2500 0.7500 x24

8.
BaEuBiSbO6: relaxed, PBE.

Values from the calculation:
- Energy relative to the lowest polymorph listed for this composition: 65.2 meV/atom
- ΔH_f (0 K): -2.3778 eV per atom

Unit cell a=8.6134 b=8.6134 c=8.6134 alpha=90.00 beta=90.00 gamma=90.00
Space group F-43m (No. 216)
Unique sites:
Ba1 0.0000 0.0000 0.0000 x4
Eu1 0.0000 0.0000 0.5000 x4
Bi1 0.2500 0.2500 0.7500 x4
Sb1 0.2500 0.2500 0.2500 x4
O1 0.0167 0.2500 0.2500 x24

9.
BaEuBiSbO6: relaxed, PBE.

Values from the calculation:
- Energy relative to the lowest polymorph listed for this composition: 0.0 meV/atom
- ΔH_f (0 K): -2.4430 eV per atom

Unit cell a=6.0578 b=6.1351 c=8.5975 alpha=90.22 beta=90.49 gamma=90.01
Space group P-1 (No. 2)
Unique sites:
Ba1 0.0053 0.0317 0.2506 x2
Eu1 0.4868 0.5405 0.2528 x2
Bi1 0.0000 0.5000 0.5000 x1
Bi2 0.5000 0.0000 0.0000 x1
Sb1 0.0000 0.5000 0.0000 x1
Sb2 0.5000 0.0000 0.5000 x1
O1 0.1034 0.5066 0.7716 x2
O2 0.1974 0.7630 0.0451 x2
O3 0.2324 0.8027 0.4676 x2
O4 0.2694 0.3085 0.0560 x2
O5 0.3176 0.2780 0.4489 x2
O6 0.4335 0.0489 0.7307 x2

10.
BaEuSnBiO6: relaxed, PBE.

Values from the calculation:
- Energy relative to the lowest polymorph listed for this composition: 66.4 meV/atom
- ΔH_f (0 K): -2.3456 eV per atom

Unit cell a=8.5880 b=8.5880 c=8.5880 alpha=90.00 beta=90.00 gamma=90.00
Space group F-43m (No. 216)
Unique sites:
Ba1 0.0000 0.0000 0.0000 x4
Eu1 0.0000 0.0000 0.5000 x4
Sn1 0.2500 0.2500 0.7500 x4
Bi1 0.2500 0.2500 0.2500 x4
O1 0.0087 0.2500 0.7500 x24

11.
BaEuSnBiO6: relaxed, PBE.

Values from the calculation:
- Energy relative to the lowest polymorph listed for this composition: 0.0 meV/atom
- ΔH_f (0 K): -2.4120 eV per atom

Unit cell a=8.4853 b=8.6525 c=8.6816 alpha=90.00 beta=90.00 gamma=90.00
Space group Pnnn (No. 48, origin choice 2)
Unique sites:
Ba1 0.2500 0.2500 0.2500 x2
Ba2 0.2500 0.7500 0.2500 x2
Eu1 0.2500 0.2500 0.7500 x2
Eu2 0.2500 0.7500 0.7500 x2
Sn1 0.0000 0.0000 0.0000 x4
Bi1 0.0000 0.0000 0.5000 x4
O1 0.0469 0.0548 0.7623 x8
O2 0.0554 0.7376 0.5466 x8
O3 0.2362 0.0370 0.0440 x8

12.
BaEuYBiO6: relaxed, PBE.

Values from the calculation:
- Energy relative to the lowest polymorph listed for this composition: 86.3 meV/atom
- ΔH_f (0 K): -2.7483 eV per atom

Unit cell a=8.6686 b=8.6686 c=8.6686 alpha=90.00 beta=90.00 gamma=90.00
Space group F-43m (No. 216)
Unique sites:
Ba1 0.0000 0.0000 0.0000 x4
Eu1 0.0000 0.0000 0.5000 x4
Y1 0.2500 0.2500 0.2500 x4
Bi1 0.2500 0.2500 0.7500 x4
O1 0.0052 0.2500 0.7500 x24

13.
BaEuYBiO6: relaxed, PBE.

Values from the calculation:
- Energy relative to the lowest polymorph listed for this composition: 0.0 meV/atom
- ΔH_f (0 K): -2.8346 eV per atom

Unit cell a=6.0793 b=6.1816 c=8.6602 alpha=90.04 beta=90.08 gamma=90.16
Space group P-1 (No. 2)
Unique sites:
Ba1 0.0102 0.0367 0.2501 x2
Eu1 0.4905 0.5458 0.2505 x2
Y1 0.0000 0.5000 0.5000 x1
Y2 0.5000 0.0000 0.0000 x1
Bi1 0.0000 0.5000 0.0000 x1
Bi2 0.5000 0.0000 0.5000 x1
O1 0.1034 0.5119 0.7551 x2
O2 0.2113 0.7790 0.0460 x2
O3 0.2207 0.7861 0.4544 x2
O4 0.2958 0.3061 0.0497 x2
O5 0.3075 0.2978 0.4514 x2
O6 0.4282 0.0379 0.7459 x2

14.
Ba8Bi2F17: relaxed, PBE.

Values from the calculation:
- ΔH_f (0 K): -3.3664 eV per atom

Unit cell a=4.3924 b=4.3924 c=109.6307 alpha=90.00 beta=90.00 gamma=120.00
Space group R3m (No. 160, hexagonal axes)
Unique sites:
Ba1 0.0000 0.0000 0.0000 x3
Ba2 0.0000 0.0000 0.0991 x3
Ba3 0.0000 0.0000 0.2001 x3
Ba4 0.0000 0.0000 0.3986 x3
Ba5 0.0000 0.0000 0.4999 x3
Ba6 0.0000 0.0000 0.6018 x3
Ba7 0.0000 0.0000 0.8000 x3
Ba8 0.0000 0.0000 0.9001 x3
Bi1 0.0000 0.0000 0.3010 x3
Bi2 0.0000 0.0000 0.6991 x3
F1 0.0000 0.0000 0.0253 x3
F2 0.0000 0.0000 0.0751 x3
F3 0.0000 0.0000 0.1246 x3
F4 0.0000 0.0000 0.2254 x3
F5 0.0000 0.0000 0.2743 x3
F6 0.0000 0.0000 0.3251 x3
F7 0.0000 0.0000 0.3742 x3
F8 0.0000 0.0000 0.4253 x3
F9 0.0000 0.0000 0.4752 x3
F10 0.0000 0.0000 0.5247 x3
F11 0.0000 0.0000 0.6257 x3
F12 0.0000 0.0000 0.6757 x3
F13 0.0000 0.0000 0.7248 x3
F14 0.0000 0.0000 0.8250 x3
F15 0.0000 0.0000 0.8752 x3
F16 0.0000 0.0000 0.9238 x3
F17 0.0000 0.0000 0.9748 x3